An optimized crystal structure of Na3Zr2Si2PO12, computed with GGA-PBE.

Properties
* space group: P1
* formation energy: -3.15 eV per atom
* energy above the most stable polymorph in this dataset: 0.000 eV/atom

```
80
Lattice="8.006 -0.016 4.437 5.519 15.047 8.871 -0.066 -0.047 9.316" Properties=species:S:1:pos:R:3 pbc="T T T"
Na 1.220 2.311 10.207
Na 2.811 0.271 5.791
Na 5.909 2.882 6.812
Na 4.786 4.530 11.418
Na 5.365 7.901 9.920
Na 3.986 9.823 14.612
Na 9.467 5.194 8.039
Na 8.105 7.085 12.680
Na 8.699 10.452 11.206
Na 7.519 12.006 15.911
Na 12.230 12.765 12.566
Na 11.098 14.412 17.693
Zr 2.975 4.828 8.726
Zr 5.585 1.153 4.085
Zr 5.130 6.319 14.114
Zr 7.762 2.633 9.463
Zr 5.768 12.340 13.162
Zr 8.362 8.655 8.507
Zr 7.874 13.848 18.571
Zr 10.496 10.160 13.898
Si 3.277 3.535 5.390
Si 4.410 1.821 10.072
Si 6.302 5.635 8.133
Si 6.038 11.041 9.835
Si 7.441 3.932 12.798
Si 7.174 9.343 14.492
Si 9.068 13.163 12.591
Si 10.207 11.456 17.232
P 2.946 7.168 11.420
P 7.758 0.286 6.762
P 5.703 14.704 15.843
P 10.538 7.816 11.201
O 0.885 0.039 1.298
O 0.390 0.806 5.959
O 1.730 3.260 4.946
O 3.844 4.759 4.449
O 3.649 7.555 5.731
O 4.167 2.154 5.247
O 3.401 3.947 6.978
O 2.595 5.823 10.723
O 3.451 3.143 9.867
O 3.066 8.316 10.390
O 3.585 0.471 9.650
O 5.880 5.669 6.546
O 4.490 10.729 9.414
O 6.395 0.422 6.041
O 4.953 5.567 9.071
O 5.784 1.867 9.172
O 4.329 7.028 12.114
O 4.804 1.815 11.666
O 6.570 12.285 8.906
O 7.152 6.967 8.565
O 7.253 4.301 8.306
O 6.943 9.677 9.652
O 8.092 1.632 7.466
O 6.183 11.435 11.425
O 7.321 3.513 11.213
O 5.299 13.389 15.117
O 6.545 5.308 12.953
O 7.067 -0.052 12.426
O 6.199 10.667 14.334
O 6.344 8.007 14.054
O 6.884 2.708 13.744
O 8.622 13.198 11.009
O 9.155 7.962 10.505
O 7.732 13.059 13.547
O 8.518 9.436 13.549
O 7.066 14.493 16.564
O 8.986 4.247 13.236
O 7.606 9.324 16.077
O 9.921 14.486 13.026
O 10.404 6.670 12.232
O 10.036 11.834 12.736
O 10.887 9.159 11.903
O 10.072 11.060 15.645
O 9.296 12.813 17.442
O 9.835 7.427 16.892
O 9.677 10.207 18.162
O 11.749 11.803 17.669
O 13.177 14.177 16.657
```


An optimized crystal structure of RbLa2TaTi2O10, computed with GGA-PBE.

Properties
* space group: Cm
* formation energy: -3.52 eV per atom

```
16
Lattice="-2.137 -2.075 -2.482 2.339 -3.046 0.539 -8.937 -4.933 11.654" Properties=species:S:1:pos:R:3 pbc="T T T"
Rb -4.435 -5.064 4.943
La -7.430 -6.682 8.860
La -1.067 -3.202 0.552
Ta -2.541 -1.404 3.313
Ti -8.916 -5.001 11.601
Ti -6.138 -8.618 6.323
O -7.841 -4.381 10.208
O -1.173 -0.710 1.510
O -5.406 -7.768 8.000
O -7.640 -7.283 6.492
O -3.335 -2.304 1.714
O -1.101 -2.789 3.222
O -5.360 -2.964 6.988
O -3.376 -7.085 2.725
O -1.080 -1.292 -1.180
O 1.045 -1.753 0.255
```


An optimized crystal structure of NaLaZrSiS2O12, computed with GGA-PBE.

Properties
* space group: Cc
* formation energy: -2.76 eV per atom

```
108
Lattice="9.293 0.000 0.000 -4.647 8.121 -0.038 0.000 -0.114 24.233" Properties=species:S:1:pos:R:3 pbc="T T T"
Na 0.263 0.032 12.119
Na 9.031 0.089 0.002
Na 4.983 2.636 20.149
Na 4.311 2.694 8.032
Na -0.091 5.710 3.986
Na 0.091 5.653 16.102
La 4.644 8.028 15.631
La 4.649 8.085 3.514
La 4.799 2.516 23.728
La 4.494 2.573 11.611
La 0.027 5.396 7.565
La -0.027 5.338 19.682
Zr 0.164 0.076 8.527
Zr 9.129 0.019 20.644
Zr 4.667 2.404 16.580
Zr 4.626 2.461 4.463
Zr -0.013 5.386 0.409
Zr 0.013 5.329 12.525
Si 2.776 0.035 6.012
Si 6.517 -0.023 18.129
Si 3.338 0.099 14.106
Si 5.955 0.157 1.989
Si -1.274 2.894 22.158
Si 1.274 2.951 10.041
S 3.428 5.611 6.062
S 7.788 2.295 6.084
S 1.506 2.238 18.200
S 5.866 5.553 18.178
S 7.370 2.795 14.116
S 3.150 4.955 14.134
S 6.143 5.012 2.018
S 1.924 2.852 2.000
S 2.742 5.456 22.216
S -1.527 7.617 22.221
S 1.527 7.675 10.104
S -2.742 5.513 10.100
O 1.753 0.187 7.375
O 3.924 6.357 7.272
O 8.130 1.438 7.283
O 1.164 1.381 19.400
O 5.370 6.299 19.389
O 7.540 0.130 19.492
O 2.777 7.989 16.778
O 0.985 1.646 16.965
O -3.658 6.322 16.945
O 3.658 6.380 4.828
O -0.985 1.703 4.848
O -2.777 8.046 4.661
O 6.479 2.900 15.340
O 3.975 0.953 15.451
O 3.494 4.143 15.343
O 5.800 4.200 3.226
O 5.318 1.010 3.335
O 2.815 2.957 3.224
O 2.700 2.719 0.781
O 5.593 4.455 0.788
O 5.651 1.060 0.700
O 3.642 1.003 12.817
O 3.701 4.398 12.905
O 6.594 2.662 12.897
O 1.835 5.599 23.424
O -0.675 3.716 23.510
O -1.113 6.783 23.422
O 1.113 6.840 11.306
O 0.675 3.773 11.393
O -1.835 5.656 11.308
O -1.992 5.367 8.879
O 0.941 7.144 8.888
O 0.909 3.756 8.713
O -0.909 3.699 20.830
O -0.941 7.087 21.004
O 1.992 5.310 20.996
O -3.591 6.772 10.006
O 3.023 7.674 10.000
O 0.523 1.437 9.944
O -0.523 1.380 22.061
O -3.023 7.617 22.117
O 3.591 6.715 22.122
O 8.289 1.650 14.247
O -2.912 7.995 14.161
O 3.637 6.346 14.229
O -3.637 6.403 2.112
O 2.912 8.052 2.044
O 1.004 1.707 2.130
O 5.654 1.427 18.026
O 3.013 2.324 18.095
O 5.160 4.224 18.076
O 4.133 4.281 5.959
O 6.281 2.382 5.978
O 3.639 1.484 5.909
O 3.641 4.295 22.391
O 6.411 2.636 22.175
O 3.588 0.890 22.402
O 5.706 0.948 10.285
O 2.883 2.693 10.058
O 5.653 4.352 10.275
O 1.098 4.121 1.919
O -1.639 5.076 1.889
O 0.512 6.824 1.814
O -0.512 6.767 13.930
O 1.639 5.019 14.006
O -1.098 4.064 14.035
O -0.843 6.911 6.070
O 1.979 5.376 6.145
O -0.982 3.650 6.199
O 0.982 3.593 18.316
O -1.979 5.319 18.261
O 0.843 6.854 18.186
```


An optimized crystal structure of KPrP4O12, computed with GGA-PBE.

Properties
* space group: P2_1
* formation energy: -2.91 eV per atom

```
36
Lattice="8.600 0.000 0.000 0.000 7.397 0.000 0.000 0.277 8.145" Properties=species:S:1:pos:R:3 pbc="T T T"
K 5.895 5.790 2.284
K 1.595 1.885 5.861
Pr 7.573 2.027 1.972
Pr 3.273 5.647 6.173
P 6.307 3.877 5.048
P 2.007 3.798 3.097
P 6.507 7.163 7.340
P 2.207 0.512 0.805
P 5.400 1.072 4.927
P 1.100 6.602 3.218
P 8.240 4.713 7.292
P 3.940 2.962 0.853
O 6.559 0.519 5.916
O 2.259 7.156 2.229
O 7.828 6.258 7.113
O 3.528 1.416 1.032
O 8.382 7.210 2.844
O 4.082 0.465 5.301
O 5.900 0.944 3.520
O 1.600 6.730 4.625
O 5.340 2.625 5.352
O 1.040 5.049 2.793
O 5.443 5.105 5.002
O 1.143 2.570 3.143
O 0.994 1.367 0.605
O 5.294 6.308 7.540
O 5.313 3.106 1.431
O 1.013 4.569 6.714
O 7.978 3.994 0.559
O 3.679 3.681 7.585
O 7.200 3.863 6.383
O 2.900 3.812 1.762
O 6.787 0.483 0.285
O 2.487 7.192 7.860
O 7.161 3.602 3.845
O 2.861 4.073 4.300
```


An optimized crystal structure of LiNd2OsO6, computed with GGA-PBE.

Properties
* space group: P2_1/c
* formation energy: -2.82 eV per atom

```
20
Lattice="-5.828 0.343 -0.370 -0.423 -5.105 1.936 -0.716 -2.241 9.195" Properties=species:S:1:pos:R:3 pbc="T T T"
Li 0.000 0.000 0.000
Li -3.272 -0.949 4.412
Nd -1.278 -5.579 8.346
Nd -3.966 -2.668 7.144
Nd -3.002 -4.336 3.616
Nd -5.690 -1.425 2.415
Os -3.126 -2.381 0.783
Os -0.570 -3.673 5.566
O -2.189 -2.501 5.511
O -5.581 -5.596 9.819
O -4.778 -4.502 5.250
O -1.386 -1.407 0.942
O -0.650 -3.841 3.588
O -3.435 -2.190 2.736
O -2.875 -6.339 10.265
O -5.209 -1.741 5.045
O -4.093 -0.665 0.496
O -1.759 -5.263 5.715
O -3.533 -4.813 8.025
O -6.317 -3.162 7.173
```


An optimized crystal structure of MnCoSi, computed with GGA-PBE.

Properties
* space group: Pnma
* formation energy: -0.43 eV per atom
* energy above the most stable polymorph in this dataset: 0.000 eV/atom

```
12
Lattice="-2.101 2.918 -0.685 -2.149 -0.302 5.301 4.999 4.131 2.262" Properties=species:S:1:pos:R:3 pbc="T T T"
Mn -2.746 2.654 5.059
Mn 3.495 4.092 1.819
Mn -1.012 3.351 2.707
Mn 1.761 3.396 4.171
Co -1.640 0.777 3.451
Co 2.389 5.969 3.427
Co 1.336 2.501 1.661
Co -0.588 4.246 5.216
Si -0.482 1.158 1.520
Si 1.231 5.589 5.357
Si -0.289 2.054 4.744
Si 1.038 4.692 2.133
```


An optimized crystal structure of Li2LuSiO5, computed with GGA-PBE.

Properties
* space group: P-1
* formation energy: -2.98 eV per atom
* energy above the most stable polymorph in this dataset: 0.000 eV/atom

```
18
Lattice="0.029 -0.005 -5.261 1.803 -4.994 1.170 -8.230 -0.075 1.488" Properties=species:S:1:pos:R:3 pbc="T T T"
Li -3.677 -0.870 -0.132
Li -2.722 -4.204 -2.470
Li -7.399 -1.365 1.529
Li 1.000 -3.709 -4.131
Lu -1.557 -1.177 -2.601
Lu -4.842 -3.897 -0.002
Si -1.432 -3.462 0.115
Si -4.967 -1.613 -2.718
O -1.739 -2.937 -1.398
O -4.660 -2.138 -1.204
O -0.444 -4.790 0.155
O -5.955 -0.284 -2.757
O -2.818 -3.962 0.864
O -3.580 -1.112 -3.467
O -0.607 -2.299 -4.289
O -5.792 -2.776 1.686
O -7.759 -0.652 -0.345
O 1.360 -4.422 -2.258
```


An optimized crystal structure of VRu4, computed with GGA-PBE.

Properties
* space group: Fmmm
* formation energy: 0.26 eV per atom

```
5
Lattice="-5.177 2.289 9.703 -7.134 0.977 8.438 1.499 -1.452 1.673" Properties=species:S:1:pos:R:3 pbc="T T T"
V 0.000 0.000 0.000
Ru -4.117 0.467 8.371
Ru -9.553 2.324 14.853
Ru -1.258 -0.510 4.962
Ru -6.694 1.347 11.444
```


| no. | E_tot (eV/f.u.) |
| --- | --- |
| 1 | -151.432 |
| 2 | -137.464 |
| 3 | -129.277 |
| 4 | -131.127 |
| 5 | -76.425 |
| 6 | -23.061 |
| 7 | -61.900 |
| 8 | -44.869 |